# 1
The following is a PBE+U calculation of a relaxed LiCrBO3 crystal, from the Materials Project.

```
LiCrBO3
1.0
0.000 0.000 6.293
8.250 0.000 0.000
4.126 7.145 0.000
O Li Cr B
18 6 6 6
Direct
0.750 0.744 0.783
0.500 0.114 0.081
0.250 0.473 0.744
0.750 0.783 0.473
0.500 0.806 0.114
0.250 0.140 0.419
0.500 0.081 0.806
0.000 0.114 0.081
0.750 0.419 0.441
0.750 0.140 0.419
0.750 0.473 0.744
0.250 0.783 0.473
0.250 0.744 0.783
0.000 0.806 0.114
0.750 0.441 0.140
0.250 0.441 0.140
0.000 0.081 0.806
0.250 0.419 0.441
0.750 0.711 0.270
0.250 0.019 0.711
0.250 0.711 0.270
0.750 0.019 0.711
0.750 0.270 0.019
0.250 0.270 0.019
0.000 0.393 0.625
0.000 0.982 0.393
0.000 0.624 0.983
0.500 0.393 0.624
0.500 0.625 0.983
0.500 0.982 0.393
0.000 0.000 0.000
0.500 0.000 0.000
0.250 0.667 0.667
0.750 0.333 0.333
0.750 0.667 0.667
0.250 0.333 0.333
```

**Energy with MP2020 corrections**: -7.959 eV/atom
**Energy above the most stable polymorph in this dataset**: 0.000 eV per atom
**Total magnetic moment**: 0.00 μB/f.u.
**DFT formation energy**: -14.7 eV/f.u.

# 2
The following is a PBE+U calculation of a relaxed Li2CrB5O10 crystal, from the Materials Project.

```
Li2CrB5O10
1.0
15.616 0.000 0.000
0.000 7.133 0.000
0.000 0.023 7.148
Li B O Cr
8 20 40 4
Direct
0.077 0.589 0.305
0.167 0.002 0.902
0.577 0.911 0.695
0.667 0.498 0.098
0.833 0.998 0.098
0.923 0.411 0.695
0.423 0.089 0.305
0.333 0.502 0.902
0.524 0.407 0.207
0.774 0.477 0.784
0.495 0.738 0.249
0.005 0.238 0.249
0.242 0.000 0.547
0.742 0.500 0.453
0.121 0.006 0.321
0.258 0.500 0.547
0.476 0.593 0.793
0.726 0.977 0.784
0.379 0.506 0.321
0.226 0.523 0.216
0.274 0.023 0.216
0.024 0.093 0.793
0.621 0.494 0.679
0.758 0.000 0.453
0.505 0.262 0.751
0.995 0.762 0.751
0.976 0.907 0.207
0.879 0.994 0.679
0.414 0.718 0.844
0.086 0.218 0.844
0.547 0.596 0.174
0.842 0.032 0.496
0.662 0.958 0.912
0.946 0.139 0.720
0.446 0.361 0.280
0.766 0.504 0.268
0.699 0.963 0.596
0.083 0.194 0.319
0.301 0.037 0.404
0.453 0.404 0.826
0.266 0.996 0.732
0.914 0.782 0.156
0.522 0.922 0.254
0.478 0.078 0.746
0.658 0.532 0.496
0.162 0.542 0.088
0.022 0.578 0.746
0.158 0.968 0.504
0.810 0.005 0.829
0.554 0.639 0.720
0.199 0.537 0.404
0.838 0.458 0.912
0.953 0.096 0.174
0.054 0.861 0.280
0.690 0.505 0.829
0.583 0.306 0.681
0.417 0.694 0.319
0.310 0.495 0.171
0.190 0.995 0.171
0.342 0.468 0.504
0.917 0.806 0.681
0.978 0.422 0.254
0.338 0.042 0.088
0.234 0.496 0.732
0.801 0.463 0.596
0.047 0.904 0.826
0.586 0.282 0.156
0.734 0.004 0.268
0.125 0.470 0.844
0.875 0.530 0.156
0.625 0.030 0.156
0.375 0.970 0.844
```

**Energy with MP2020 corrections**: -8.031 eV/atom
**Total magnetic moment**: 3.00 μB/f.u.
**DFT formation energy**: -48.2 eV/f.u.

# 3
The following is a PBE+U calculation of a relaxed Li6CrB3O9 crystal, from the Materials Project.

```
Li6CrB3O9
1.0
16.608 0.000 0.000
0.000 6.499 0.000
0.000 1.660 6.787
O B Li Cr
36 12 24 4
Direct
0.549 0.758 0.299
0.417 0.051 0.105
0.292 0.069 0.246
0.403 0.428 0.387
0.164 0.944 0.994
0.792 0.431 0.754
0.208 0.569 0.246
0.951 0.258 0.299
0.708 0.931 0.754
0.836 0.056 0.006
0.597 0.572 0.613
0.083 0.551 0.105
0.451 0.242 0.701
0.809 0.245 0.359
0.049 0.742 0.701
0.100 0.418 0.462
0.691 0.745 0.359
0.309 0.255 0.641
0.900 0.582 0.538
0.400 0.918 0.462
0.903 0.072 0.613
0.195 0.310 0.891
0.057 0.186 0.893
0.305 0.810 0.891
0.664 0.556 0.006
0.805 0.690 0.109
0.097 0.928 0.387
0.695 0.190 0.109
0.917 0.449 0.895
0.943 0.814 0.107
0.583 0.949 0.895
0.600 0.082 0.538
0.336 0.444 0.994
0.557 0.314 0.107
0.443 0.686 0.893
0.191 0.755 0.641
0.889 0.191 0.425
0.372 0.006 0.278
0.628 0.994 0.722
0.111 0.809 0.575
0.863 0.850 0.081
0.637 0.350 0.081
0.611 0.691 0.425
0.872 0.494 0.722
0.389 0.309 0.575
0.363 0.650 0.919
0.137 0.150 0.919
0.128 0.506 0.278
0.554 0.600 0.862
0.039 0.450 0.687
0.007 0.325 0.070
0.961 0.550 0.313
0.461 0.950 0.687
0.446 0.400 0.138
0.298 0.378 0.274
0.791 0.551 0.401
0.054 0.900 0.138
0.493 0.825 0.070
0.709 0.051 0.401
0.202 0.878 0.274
0.946 0.100 0.862
0.993 0.675 0.930
0.539 0.050 0.313
0.209 0.449 0.599
0.044 0.164 0.457
0.956 0.836 0.543
0.798 0.122 0.726
0.702 0.622 0.726
0.544 0.336 0.543
0.291 0.949 0.599
0.456 0.664 0.457
0.507 0.175 0.930
0.194 0.668 0.945
0.806 0.332 0.055
0.306 0.168 0.945
0.694 0.832 0.055
```

**Energy with MP2020 corrections**: -7.034 eV/atom
**Total magnetic moment**: 3.00 μB/f.u.
**DFT formation energy**: -48.0 eV/f.u.

# 4
The following is a PBE+U calculation of a relaxed Li3CrB2O6 crystal, from the Materials Project.

```
Li3CrB2O6
1.0
0.151 5.812 -0.251
-5.118 1.597 7.256
5.394 1.759 7.301
O Li B Cr
24 12 8 4
Direct
0.719 0.561 0.419
0.224 0.859 0.779
0.291 0.164 0.757
0.709 0.336 0.743
0.538 0.248 0.507
0.712 0.425 0.186
0.045 0.662 0.004
0.288 0.575 0.814
0.281 0.439 0.581
0.709 0.835 0.243
0.776 0.141 0.221
0.776 0.641 0.721
0.712 0.925 0.686
0.955 0.838 0.496
0.288 0.075 0.314
0.045 0.162 0.504
0.719 0.061 0.919
0.955 0.338 0.996
0.281 0.939 0.081
0.462 0.252 0.993
0.462 0.752 0.493
0.538 0.748 0.007
0.224 0.359 0.279
0.291 0.664 0.257
0.161 0.669 0.465
0.242 0.420 0.033
0.017 0.958 0.275
0.838 0.831 0.035
0.983 0.042 0.725
0.839 0.331 0.535
0.758 0.080 0.467
0.242 0.920 0.533
0.161 0.169 0.965
0.017 0.458 0.775
0.983 0.542 0.225
0.758 0.580 0.967
0.367 0.776 0.121
0.190 0.201 0.366
0.367 0.276 0.621
0.190 0.701 0.866
0.633 0.224 0.879
0.810 0.299 0.134
0.810 0.799 0.634
0.632 0.724 0.379
0.463 0.950 0.847
0.537 0.050 0.153
0.464 0.450 0.347
0.537 0.550 0.653
```

**Energy with MP2020 corrections**: -7.443 eV/atom
**Energy above the most stable polymorph in this dataset**: 0.026 eV per atom
**Total magnetic moment**: 0.00 μB/f.u.
**DFT formation energy**: -30.9 eV/f.u.

# 5
The following is a PBE+U calculation of a relaxed LiCrBO3 crystal, from the Materials Project.

```
LiCrBO3
1.0
-2.870 -0.285 -1.328
-3.280 -10.678 8.857
-6.303 2.785 12.488
O Li B Cr
27 9 9 9
Direct
0.500 0.402 0.911
0.026 0.106 0.915
0.983 0.255 0.651
0.979 0.651 0.095
0.936 0.637 0.590
0.983 0.576 0.977
0.470 0.563 0.336
0.517 0.031 0.758
0.027 0.095 0.254
0.979 0.979 0.106
0.453 0.687 0.403
0.055 0.976 0.447
0.962 0.903 0.327
0.477 0.757 0.212
0.517 0.102 0.563
0.036 0.770 0.903
0.064 0.774 0.635
0.022 0.326 0.771
0.006 0.239 0.328
0.997 0.327 0.434
0.511 0.211 0.032
0.999 0.589 0.776
0.556 0.910 0.687
0.984 0.433 0.240
0.958 0.448 0.578
0.015 0.914 0.980
0.499 0.335 0.103
0.005 0.428 0.828
0.983 0.774 0.129
0.992 0.412 0.107
0.010 0.129 0.098
0.013 0.097 0.774
0.949 0.745 0.429
0.056 0.826 0.745
0.971 0.482 0.413
0.024 0.106 0.482
0.014 0.991 0.343
0.467 0.669 0.316
0.999 0.666 0.991
0.504 0.315 0.016
0.988 0.343 0.667
0.996 0.333 0.334
0.007 0.000 0.000
0.530 0.015 0.669
0.999 0.667 0.667
0.491 0.571 0.881
0.524 0.868 0.912
0.492 0.264 0.547
0.521 0.220 0.869
0.475 0.912 0.220
0.557 0.880 0.549
0.481 0.547 0.190
0.450 0.549 0.572
0.517 0.189 0.264
```

**Energy with MP2020 corrections**: -7.951 eV/atom
**Energy above the most stable polymorph in this dataset**: 0.008 eV per atom
**Total magnetic moment**: 4.00 μB/f.u.
**DFT formation energy**: -14.6 eV/f.u.

# 6
The following is a PBE+U calculation of a relaxed Li3CrB2O6 crystal, from the Materials Project.

```
Li3CrB2O6
1.0
8.706 0.000 0.000
0.000 5.263 0.000
0.000 4.797 9.644
Li O Cr B
12 24 4 8
Direct
0.848 0.441 0.376
0.531 0.923 0.887
0.042 0.477 0.147
0.348 0.559 0.124
0.031 0.077 0.613
0.652 0.441 0.876
0.469 0.077 0.113
0.458 0.477 0.647
0.542 0.523 0.353
0.958 0.523 0.853
0.152 0.559 0.624
0.969 0.923 0.387
0.738 0.833 0.832
0.997 0.108 0.153
0.411 0.242 0.893
0.238 0.167 0.668
0.325 0.834 0.585
0.589 0.758 0.107
0.656 0.327 0.090
0.503 0.108 0.653
0.844 0.327 0.590
0.497 0.892 0.347
0.341 0.408 0.343
0.344 0.673 0.910
0.262 0.167 0.168
0.841 0.592 0.157
0.159 0.408 0.843
0.825 0.166 0.915
0.762 0.833 0.332
0.089 0.242 0.393
0.659 0.592 0.657
0.175 0.834 0.085
0.911 0.758 0.607
0.675 0.166 0.415
0.003 0.892 0.847
0.156 0.673 0.410
0.790 0.986 0.124
0.210 0.014 0.876
0.710 0.986 0.624
0.290 0.014 0.376
0.805 0.549 0.618
0.857 0.970 0.865
0.695 0.549 0.118
0.143 0.030 0.135
0.357 0.030 0.635
0.305 0.451 0.882
0.643 0.970 0.365
0.195 0.451 0.382
```

**Energy with MP2020 corrections**: -7.469 eV/atom
**Energy above the most stable polymorph in this dataset**: 0.000 eV per atom
**Total magnetic moment**: 3.00 μB/f.u.
**DFT formation energy**: -31.2 eV/f.u.

# 7
The following is a PBE+U calculation of a relaxed Li3CrSiBO7 crystal, from the Materials Project.

```
Li3CrSiBO7
1.0
8.346 0.000 0.409
0.000 6.285 0.000
0.220 0.000 5.093
Si O B Li Cr
2 14 2 6 2
Direct
0.428 0.250 0.723
0.572 0.750 0.277
0.406 0.750 0.134
0.695 0.947 0.181
0.305 0.052 0.819
0.594 0.250 0.866
0.823 0.250 0.477
0.530 0.750 0.597
0.889 0.750 0.633
0.085 0.750 0.965
0.695 0.552 0.181
0.111 0.250 0.367
0.470 0.250 0.403
0.305 0.447 0.819
0.177 0.750 0.523
0.915 0.250 0.035
0.038 0.750 0.709
0.962 0.250 0.291
0.102 0.250 0.766
0.249 0.497 0.260
0.751 0.997 0.740
0.249 0.003 0.260
0.898 0.750 0.233
0.751 0.503 0.740
0.683 0.250 0.201
0.317 0.750 0.799
```

**Energy with MP2020 corrections**: -7.358 eV/atom
**Total magnetic moment**: 2.00 μB/f.u.
**DFT formation energy**: -33.5 eV/f.u.

# 8
The following is a PBE+U calculation of a relaxed Mg6CrBO8 crystal, from the Materials Project.

```
Mg6CrBO8
1.0
4.371 0.000 0.000
0.000 4.371 0.000
0.000 0.000 8.274
Cr Mg B O
1 6 1 8
Direct
0.000 0.000 0.000
0.000 0.500 0.740
0.500 0.500 0.000
0.500 0.500 0.500
0.500 0.000 0.260
0.000 0.500 0.260
0.500 0.000 0.740
0.000 0.000 0.500
0.500 0.000 0.500
0.500 0.500 0.750
0.500 0.000 0.000
0.000 0.000 0.330
0.500 0.500 0.250
0.000 0.500 0.500
0.000 0.000 0.670
0.000 0.500 0.000
```

**Energy with MP2020 corrections**: -6.612 eV/atom
**Energy above the most stable polymorph in this dataset**: 0.000 eV per atom
**Total magnetic moment**: 4.78 μB/f.u.
**DFT formation energy**: -40.3 eV/f.u.

# 9
The following is a PBE+U calculation of a relaxed Mg6CrBO8 crystal, from the Materials Project.

```
Mg6CrBO8
1.0
-0.141 -8.368 1.691
3.924 -0.388 -1.590
1.635 0.751 3.852
Mg O B Cr
6 8 1 1
Direct
0.753 0.000 0.500
0.247 0.500 0.000
0.500 0.500 0.500
0.247 0.000 0.500
0.753 0.500 0.000
0.500 0.000 0.000
0.256 0.500 0.500
0.744 0.500 0.500
0.500 0.500 0.000
0.000 0.500 0.000
0.000 0.000 0.500
0.245 0.000 0.000
0.500 0.000 0.500
0.755 0.000 0.000
0.000 0.500 0.500
0.000 0.000 0.000
```

**Energy with MP2020 corrections**: -6.528 eV/atom
**Energy above the most stable polymorph in this dataset**: 0.083 eV per atom
**Total magnetic moment**: 3.22 μB/f.u.
**DFT formation energy**: -38.9 eV/f.u.